[1]
Computed, not measured: a relaxed structure of DyLuMg2 at the PBE level of DFT.

Results
The energy is -3.143 eV/atom. As for the crystal system: cubic. As for the symmetry: Fm-3m. The calculation puts the energy relative to the elements at -0.0612 eV/atom.

a b c (Å): 5.3214 5.3214 5.3214
angles (deg): 60.00 60.00 60.00
Closest atoms and distances in Å follow each position.
Atoms (fractional coordinates):
Dy 0.0000 0.0000 0.0000  8 Mg 3.26
Lu 0.5000 0.5000 0.5000  8 Mg 3.26
Mg 0.2500 0.2500 0.2500  4 Lu 3.26, 4 Dy 3.26
Mg 0.7500 0.7500 0.7500  4 Lu 3.26, 4 Dy 3.26

=====

[2]
Computed, not measured: a relaxed structure of ThAsS at the PBE level of DFT.

Results
The energy is -6.946 eV/atom. As for the crystal system: tetragonal. As for the symmetry: P4/nmm. The calculation puts the energy relative to the elements at -1.7102 eV/atom.

a b c (Å): 4.0263 4.0263 8.3683
angles (deg): 90.00 90.00 90.00
Closest atoms and distances in Å follow each position.
Atoms (fractional coordinates):
Th 0.2500 0.2500 0.2187  5 S 2.93-2.95, 4 As 3.10
Th 0.7500 0.7500 0.7813  5 S 2.93-2.95, 4 As 3.10
As 0.2500 0.7500 0.5000  4 As 2.85, 4 Th 3.10
As 0.7500 0.2500 0.5000  4 As 2.85, 4 Th 3.10
S 0.2500 0.2500 0.8656  5 Th 2.93-2.95
S 0.7500 0.7500 0.1344  5 Th 2.93-2.95